No. 1
## Li4V3P8O29 (GGA+U)

Data for a geometry-optimized Li4V3P8O29 structure.

Output
energy relative to the elements = -2572 meV/atom
space-group type = P1 (1)
DFT total energy = -7.041 eV/atom

```
data_Li4V3P8O29
_chemical_formula_sum 'Li8 V6 P16 O58'
_cell_length_a 9.766
_cell_length_b 9.771
_cell_length_c 14.261
_cell_angle_alpha 89.94
_cell_angle_beta 89.76
_cell_angle_gamma 60.08
_space_group_name_H-M_alt 'P 1'
_space_group_IT_number 1
loop_
_space_group_symop_operation_xyz
'x,y,z'
loop_
_atom_site_label
_atom_site_type_symbol
_atom_site_fract_x
_atom_site_fract_y
_atom_site_fract_z
Li1 Li 0.000 0.000 0.000
Li2 Li 0.006 0.850 0.507
Li3 Li 0.107 0.075 0.383
Li4 Li 0.263 0.541 0.389
Li5 Li 0.319 0.826 0.927
Li6 Li 0.417 0.448 0.997
Li7 Li 0.429 0.984 0.499
Li8 Li 0.660 0.529 0.883
V1 V 0.327 0.195 0.699
V2 V 0.332 0.322 0.186
V3 V 0.761 0.763 0.186
V4 V 0.762 0.329 0.685
V5 V 0.895 0.194 0.197
V6 V 0.897 0.755 0.695
P1 P 0.012 0.844 0.288
P2 P 0.014 0.989 0.782
P3 P 0.105 0.075 0.602
P4 P 0.109 0.680 0.104
P5 P 0.243 0.528 0.602
P6 P 0.246 0.063 0.102
P7 P 0.418 0.448 0.783
P8 P 0.421 0.989 0.282
P9 P 0.551 0.840 0.781
P10 P 0.552 0.450 0.281
P11 P 0.644 0.675 0.598
P12 P 0.649 0.530 0.100
P13 P 0.661 0.091 0.574
P14 P 0.666 0.094 0.071
P15 P 0.993 0.426 0.809
P16 P 0.998 0.431 0.307
O1 O 0.000 0.275 0.280
O2 O 0.008 0.563 0.767
O3 O 0.015 0.447 0.409
O4 O 0.071 0.103 0.109
O5 O 0.077 0.676 0.604
O6 O 0.082 0.761 0.379
O7 O 0.093 0.998 0.513
O8 O 0.099 0.976 0.872
O9 O 0.123 0.775 0.027
O10 O 0.126 0.968 0.692
O11 O 0.133 0.742 0.205
O12 O 0.142 0.271 0.767
O13 O 0.148 0.422 0.254
O14 O 0.234 0.377 0.626
O15 O 0.248 0.505 0.099
O16 O 0.251 0.097 0.602
O17 O 0.253 0.219 0.111
O18 O 0.321 0.970 0.199
O19 O 0.328 0.965 0.019
O20 O 0.330 0.513 0.514
O21 O 0.332 0.552 0.692
O22 O 0.337 0.005 0.373
O23 O 0.342 0.530 0.872
O24 O 0.408 0.420 0.273
O25 O 0.413 0.015 0.774
O26 O 0.419 0.288 0.770
O27 O 0.428 0.141 0.260
O28 O 0.513 0.093 0.619
O29 O 0.517 0.249 0.112
O30 O 0.525 0.757 0.862
O31 O 0.531 0.761 0.687
O32 O 0.532 0.550 0.185
O33 O 0.547 0.536 0.366
O34 O 0.563 0.762 0.512
O35 O 0.569 0.530 0.010
O36 O 0.588 0.845 0.274
O37 O 0.590 0.419 0.777
O38 O 0.651 0.103 0.470
O39 O 0.659 0.950 0.117
O40 O 0.660 0.096 0.967
O41 O 0.668 0.238 0.620
O42 O 0.671 0.676 0.107
O43 O 0.673 0.503 0.605
O44 O 0.708 0.287 0.264
O45 O 0.709 0.835 0.777
O46 O 0.804 0.667 0.618
O47 O 0.807 0.380 0.117
O48 O 0.814 0.944 0.609
O49 O 0.818 0.085 0.110
O50 O 0.840 0.434 0.765
O51 O 0.853 0.855 0.264
O52 O 0.855 0.575 0.258
O53 O 0.862 0.148 0.768
O54 O 0.948 0.684 0.111
O55 O 0.952 0.237 0.618
O56 O 0.979 0.852 0.772
O57 O 0.984 0.419 0.913
O58 O 0.997 0.009 0.285
```

***

No. 2
## KNaV2O6 (GGA+U)

Data for a geometry-optimized KNaV2O6 structure.

Output
energy relative to the elements = -2409 meV/atom
space-group type = C2/c (15)
DFT total energy = -6.686 eV/atom

```
data_KNaV2O6
_chemical_formula_sum 'K2 Na2 V4 O12'
_cell_length_a 7.473
_cell_length_b 7.473
_cell_length_c 5.933
_cell_angle_alpha 100.71
_cell_angle_beta 100.71
_cell_angle_gamma 87.03
_space_group_name_H-M_alt 'P 1'
_space_group_IT_number 1
loop_
_space_group_symop_operation_xyz
'x,y,z'
loop_
_atom_site_label
_atom_site_type_symbol
_atom_site_fract_x
_atom_site_fract_y
_atom_site_fract_z
K1 K 0.198 0.802 0.750
K2 K 0.802 0.198 0.250
Na1 Na 0.405 0.595 0.250
Na2 Na 0.595 0.405 0.750
V1 V 0.129 0.299 0.778
V2 V 0.299 0.129 0.278
V3 V 0.701 0.871 0.722
V4 V 0.871 0.701 0.222
O1 O 0.080 0.613 0.286
O2 O 0.142 0.169 0.014
O3 O 0.169 0.142 0.514
O4 O 0.287 0.462 0.851
O5 O 0.387 0.920 0.214
O6 O 0.462 0.287 0.351
O7 O 0.538 0.713 0.649
O8 O 0.613 0.080 0.786
O9 O 0.713 0.538 0.149
O10 O 0.831 0.858 0.486
O11 O 0.858 0.831 0.986
O12 O 0.920 0.387 0.714
```